Density functional theory data (PBE) for an optimized crystal structure of ZnP.

a = 3.635 Å, b = 3.635 Å, c = 6.914 Å
α = 90.00°, β = 90.00°, γ = 120.00°
Sites, in units of the cell vectors:
1 Zn 0.333 0.667 0.356
2 Zn 0.667 0.333 0.856
3 P 0.333 0.667 0.019
4 P 0.667 0.333 0.519

Computed properties:
Formation enthalpy at 0 K in meV/atom: 107
V in Å³/atom: 19.78